Below is a relaxed structure of HoAl2Ge2, with properties calculated at the meta-GGA r2SCAN level.

Geometry as CIF:
```
data_HoAl2Ge2
_chemical_formula_sum 'Ho1 Al2 Ge2'
_cell_length_a 4.2262
_cell_length_b 4.2262
_cell_length_c 6.5948
_cell_angle_alpha 90.00
_cell_angle_beta 90.00
_cell_angle_gamma 120.00
_symmetry_space_group_name_H-M 'P -3 m 1'
_symmetry_Int_Tables_number 164
_symmetry_space_group_name_Hall '-P 3 2"'
loop_
_atom_site_label
_atom_site_type_symbol
_atom_site_fract_x
_atom_site_fract_y
_atom_site_fract_z
_atom_site_occupancy
Ho1 Ho 0.0000 0.0000 0.0000 1
Al1 Al 0.3333 0.6667 0.6449 1
Ge1 Ge 0.3333 0.6667 0.2579 1
```

Properties
ρ ... 5.928 g cm⁻³
Energy relative to the elements ... -0.47 eV/atom
Crystal system ... trigonal


Below is a relaxed structure of HoAlGe, with properties calculated at the meta-GGA r2SCAN level.

Geometry as CIF:
```
data_HoAlGe
_chemical_formula_sum 'Ho4 Al4 Ge4'
_cell_length_a 4.011
_cell_length_b 10.385
_cell_length_c 5.722
_cell_angle_alpha 90.00
_cell_angle_beta 90.00
_cell_angle_gamma 90.00
_symmetry_space_group_name_H-M 'C m c m'
_symmetry_Int_Tables_number 63
_symmetry_space_group_name_Hall '-C 2c 2'
loop_
_atom_site_label
_atom_site_type_symbol
_atom_site_fract_x
_atom_site_fract_y
_atom_site_fract_z
_atom_site_occupancy
Ho1 Ho 0.000 0.190 0.250 1
Al1 Al 0.000 0.500 0.000 1
Ge1 Ge 0.000 0.106 0.750 1
```

Properties
ρ ... 7.372 g cm⁻³
Energy relative to the elements ... -0.72 eV/atom
Crystal system ... orthorhombic


Below is a relaxed structure of La2Al2Ge, with properties calculated at the meta-GGA r2SCAN level.

Geometry as CIF:
```
data_La2Al2Ge
_chemical_formula_sum 'La8 Al8 Ge4'
_cell_length_a 4.165
_cell_length_b 27.081
_cell_length_c 4.579
_cell_angle_alpha 90.00
_cell_angle_beta 90.00
_cell_angle_gamma 90.00
_symmetry_space_group_name_H-M 'C m c m'
_symmetry_Int_Tables_number 63
_symmetry_space_group_name_Hall '-C 2c 2'
loop_
_atom_site_label
_atom_site_type_symbol
_atom_site_fract_x
_atom_site_fract_y
_atom_site_fract_z
_atom_site_occupancy
La1 La 0.000 0.075 0.250 1
La2 La 0.000 0.295 0.750 1
Al1 Al 0.000 0.381 0.250 1
Al2 Al 0.000 0.477 0.250 1
Ge1 Ge 0.000 0.173 0.750 1
```

Properties
ρ ... 5.201 g cm⁻³
Energy relative to the elements ... -0.74 eV/atom
Crystal system ... orthorhombic


Below is a relaxed structure of LaAlGe, with properties calculated at the meta-GGA r2SCAN level.

Geometry as CIF:
```
data_LaAlGe
_chemical_formula_sum 'La4 Al4 Ge4'
_cell_length_a 4.376
_cell_length_b 4.376
_cell_length_c 14.743
_cell_angle_alpha 90.00
_cell_angle_beta 90.00
_cell_angle_gamma 90.00
_symmetry_space_group_name_H-M 'I 41 m d'
_symmetry_Int_Tables_number 109
_symmetry_space_group_name_Hall 'I 4bw -2'
loop_
_atom_site_label
_atom_site_type_symbol
_atom_site_fract_x
_atom_site_fract_y
_atom_site_fract_z
_atom_site_occupancy
La1 La 0.000 0.000 0.000 1
Al1 Al 0.000 0.000 0.417 1
Ge1 Ge 0.000 0.000 0.584 1
```

Properties
ρ ... 5.611 g cm⁻³
Energy relative to the elements ... -0.81 eV/atom
Crystal system ... tetragonal


Below is a relaxed structure of AlGe3Mo2, with properties calculated at the meta-GGA r2SCAN level.

Geometry as CIF:
```
data_AlGe3Mo2
_chemical_formula_sum 'Al3 Ge9 Mo6'
_cell_length_a 4.817
_cell_length_b 4.818
_cell_length_c 13.388
_cell_angle_alpha 90.00
_cell_angle_beta 90.26
_cell_angle_gamma 119.98
_symmetry_space_group_name_H-M 'P 1'
_symmetry_Int_Tables_number 1
loop_
_symmetry_equiv_pos_as_xyz
'x,y,z'
loop_
_atom_site_label
_atom_site_type_symbol
_atom_site_fract_x
_atom_site_fract_y
_atom_site_fract_z
_atom_site_occupancy
Al1 Al 0.000 0.000 0.000 1
Al2 Al 0.004 0.999 0.503 1
Al3 Al 0.510 0.999 0.667 1
Ge1 Ge 0.000 0.492 0.336 1
Ge2 Ge 0.007 0.498 0.833 1
Ge3 Ge 0.164 0.326 0.165 1
Ge4 Ge 0.171 0.330 0.665 1
Ge5 Ge 0.508 0.999 0.166 1
Ge6 Ge 0.666 0.328 0.504 1
Ge7 Ge 0.672 0.337 0.000 1
Ge8 Ge 0.677 0.846 0.834 1
Ge9 Ge 0.681 0.842 0.337 1
Mo1 Mo 0.337 0.667 0.001 1
Mo2 Mo 0.338 0.665 0.497 1
Mo3 Mo 0.339 0.164 0.331 1
Mo4 Mo 0.339 0.167 0.834 1
Mo5 Mo 0.838 0.664 0.170 1
Mo6 Mo 0.840 0.666 0.671 1
```

Properties
ρ ... 8.085 g cm⁻³
Energy relative to the elements ... -0.20 eV/atom
Crystal system ... triclinic


Below is a relaxed structure of NaAlGe, with properties calculated at the meta-GGA r2SCAN level.

Geometry as CIF:
```
data_NaAlGe
_chemical_formula_sum 'Na2 Al2 Ge2'
_cell_length_a 4.148
_cell_length_b 4.148
_cell_length_c 7.328
_cell_angle_alpha 90.00
_cell_angle_beta 90.00
_cell_angle_gamma 90.00
_symmetry_space_group_name_H-M 'P 4/n m m'
_symmetry_Int_Tables_number 129
loop_
_symmetry_equiv_pos_as_xyz
'x,y,z'
'-x,-y,-z'
'-y+1/2,x,z'
'y+1/2,-x,-z'
'-x+1/2,-y+1/2,z'
'x+1/2,y+1/2,-z'
'y,-x+1/2,z'
'-y,x+1/2,-z'
'x+1/2,-y,-z'
'-x+1/2,y,z'
'-y,-x,-z'
'y,x,z'
'-x,y+1/2,-z'
'x,-y+1/2,z'
'y+1/2,x+1/2,-z'
'-y+1/2,-x+1/2,z'
loop_
_atom_site_label
_atom_site_type_symbol
_atom_site_fract_x
_atom_site_fract_y
_atom_site_fract_z
_atom_site_occupancy
Na1 Na 0.250 0.250 0.140 1
Al1 Al 0.250 0.750 0.500 1
Ge1 Ge 0.250 0.250 0.714 1
```

Properties
ρ ... 3.230 g cm⁻³
Energy relative to the elements ... -0.27 eV/atom
Crystal system ... tetragonal


Below is a relaxed structure of NdAlGe, with properties calculated at the meta-GGA r2SCAN level.

Geometry as CIF:
```
data_NdAlGe
_chemical_formula_sum 'Nd4 Al4 Ge4'
_cell_length_a 4.268
_cell_length_b 4.268
_cell_length_c 14.655
_cell_angle_alpha 90.00
_cell_angle_beta 90.00
_cell_angle_gamma 90.00
_symmetry_space_group_name_H-M 'I 41 m d'
_symmetry_Int_Tables_number 109
_symmetry_space_group_name_Hall 'I 4bw -2'
loop_
_atom_site_label
_atom_site_type_symbol
_atom_site_fract_x
_atom_site_fract_y
_atom_site_fract_z
_atom_site_occupancy
Nd1 Nd 0.000 0.000 0.000 1
Al1 Al 0.000 0.000 0.416 1
Ge1 Ge 0.000 0.000 0.582 1
```

Properties
ρ ... 6.068 g cm⁻³
Energy relative to the elements ... -0.78 eV/atom
Crystal system ... tetragonal


Below is a relaxed structure of NdAlGe2O7, with properties calculated at the meta-GGA r2SCAN level.

Geometry as CIF:
```
data_NdAlGe2O7
_chemical_formula_sum 'Nd4 Al4 Ge8 O28'
_cell_length_a 7.237
_cell_length_b 6.540
_cell_length_c 12.746
_cell_angle_alpha 90.00
_cell_angle_beta 117.55
_cell_angle_gamma 90.00
_symmetry_space_group_name_H-M 'P 1 21/c 1'
_symmetry_Int_Tables_number 14
loop_
_symmetry_equiv_pos_as_xyz
'x,y,z'
'-x,-y,-z'
'-x,y+1/2,-z+1/2'
'x,-y+1/2,z+1/2'
loop_
_atom_site_label
_atom_site_type_symbol
_atom_site_fract_x
_atom_site_fract_y
_atom_site_fract_z
_atom_site_occupancy
Nd1 Nd 0.237 0.148 0.474 1
Al1 Al 0.213 0.102 0.730 1
Ge1 Ge 0.209 0.657 0.451 1
Ge2 Ge 0.302 0.590 0.720 1
O1 O 0.004 0.661 0.915 1
O2 O 0.160 0.682 0.188 1
O3 O 0.202 0.051 0.864 1
O4 O 0.224 0.117 0.277 1
O5 O 0.248 0.503 0.574 1
O6 O 0.407 0.675 0.975 1
O7 O 0.428 0.121 0.698 1
```

Properties
ρ ... 5.321 g cm⁻³
Energy relative to the elements ... -2.67 eV/atom
Crystal system ... monoclinic


Below is a relaxed structure of AlNi4Ge, with properties calculated at the meta-GGA r2SCAN level.

Geometry as CIF:
```
data_AlNi4Ge
_chemical_formula_sum 'Al2 Ni8 Ge2'
_cell_length_a 3.768
_cell_length_b 7.277
_cell_length_c 4.955
_cell_angle_alpha 90.00
_cell_angle_beta 90.00
_cell_angle_gamma 90.00
_symmetry_space_group_name_H-M 'P m c 21'
_symmetry_Int_Tables_number 26
loop_
_symmetry_equiv_pos_as_xyz
'x,y,z'
'-x,-y,z+1/2'
'-x,y,z'
'x,-y,z+1/2'
loop_
_atom_site_label
_atom_site_type_symbol
_atom_site_fract_x
_atom_site_fract_y
_atom_site_fract_z
_atom_site_occupancy
Al1 Al 0.000 0.140 0.000 1
Ni1 Ni 0.000 0.188 0.522 1
Ni2 Ni 0.000 0.469 0.134 1
Ni3 Ni 0.500 0.021 0.254 1
Ni4 Ni 0.500 0.321 0.849 1
Ge1 Ge 0.500 0.350 0.370 1
```

Properties
ρ ... 8.174 g cm⁻³
Energy relative to the elements ... -0.39 eV/atom
Crystal system ... orthorhombic


Below is a relaxed structure of PrAlGe2O7, with properties calculated at the meta-GGA r2SCAN level.

Geometry as CIF:
```
data_PrAlGe2O7
_chemical_formula_sum 'Pr4 Al4 Ge8 O28'
_cell_length_a 7.264
_cell_length_b 6.554
_cell_length_c 12.791
_cell_angle_alpha 90.00
_cell_angle_beta 117.49
_cell_angle_gamma 90.00
_symmetry_space_group_name_H-M 'P 1 21/c 1'
_symmetry_Int_Tables_number 14
loop_
_symmetry_equiv_pos_as_xyz
'x,y,z'
'-x,-y,-z'
'-x,y+1/2,-z+1/2'
'x,-y+1/2,z+1/2'
loop_
_atom_site_label
_atom_site_type_symbol
_atom_site_fract_x
_atom_site_fract_y
_atom_site_fract_z
_atom_site_occupancy
Pr1 Pr 0.236 0.147 0.475 1
Al1 Al 0.214 0.104 0.730 1
Ge1 Ge 0.208 0.657 0.450 1
Ge2 Ge 0.302 0.591 0.719 1
O1 O 0.003 0.663 0.914 1
O2 O 0.162 0.680 0.187 1
O3 O 0.202 0.051 0.864 1
O4 O 0.224 0.115 0.277 1
O5 O 0.246 0.504 0.573 1
O6 O 0.406 0.677 0.976 1
O7 O 0.429 0.122 0.699 1
```

Properties
ρ ... 5.228 g cm⁻³
Energy relative to the elements ... -2.66 eV/atom
Crystal system ... monoclinic


Below is a relaxed structure of Sr3Al2Ge3O12, with properties calculated at the meta-GGA r2SCAN level.

Geometry as CIF:
```
data_Sr3Al2Ge3O12
_chemical_formula_sum 'Sr24 Al16 Ge24 O96'
_cell_length_a 12.416
_cell_length_b 12.416
_cell_length_c 12.416
_cell_angle_alpha 90.00
_cell_angle_beta 90.00
_cell_angle_gamma 90.00
_symmetry_space_group_name_H-M 'I a -3 d'
_symmetry_Int_Tables_number 230
_symmetry_space_group_name_Hall '-I 4bd 2c 3'
loop_
_atom_site_label
_atom_site_type_symbol
_atom_site_fract_x
_atom_site_fract_y
_atom_site_fract_z
_atom_site_occupancy
Sr1 Sr 0.000 0.250 0.125 1
Al1 Al 0.000 0.000 0.000 1
Ge1 Ge 0.000 0.250 0.375 1
O1 O 0.037 0.044 0.646 1
```

Properties
ρ ... 5.044 g cm⁻³
Energy relative to the elements ... -2.71 eV/atom
Crystal system ... cubic


Below is a relaxed structure of PrAl2Ge2, with properties calculated at the meta-GGA r2SCAN level.

Geometry as CIF:
```
data_PrAl2Ge2
_chemical_formula_sum 'Pr1 Al2 Ge2'
_cell_length_a 4.2665
_cell_length_b 4.2665
_cell_length_c 6.9614
_cell_angle_alpha 90.00
_cell_angle_beta 90.00
_cell_angle_gamma 120.00
_symmetry_space_group_name_H-M 'P -3 m 1'
_symmetry_Int_Tables_number 164
_symmetry_space_group_name_Hall '-P 3 2"'
loop_
_atom_site_label
_atom_site_type_symbol
_atom_site_fract_x
_atom_site_fract_y
_atom_site_fract_z
_atom_site_occupancy
Pr1 Pr 0.0000 0.0000 0.0000 1
Al1 Al 0.3333 0.6667 0.6389 1
Ge1 Ge 0.3333 0.6667 0.2709 1
```

Properties
ρ ... 5.147 g cm⁻³
Energy relative to the elements ... -0.52 eV/atom
Crystal system ... trigonal